1.
Density functional theory data (PBE-GGA) for a geometry-optimized Na6Ta20Zn4Si21S15O144 structure.

Unit cell a=8.8563 b=15.3609 c=22.8906 alpha=90.05 beta=90.01 gamma=90.08
Atoms (fractional coordinates):
1 Na 0.0000 0.0000 0.0000
2 Na 0.0010 0.6628 0.1660
3 Na 0.0157 0.0000 0.5040
4 Na 0.4848 0.4951 0.0007
5 Na 0.4980 0.1643 0.6692
6 Na 0.5007 0.4974 0.5017
7 Ta 0.9997 0.9997 0.3538
8 Ta 0.0004 0.3248 0.1908
9 Ta 0.9995 0.9979 0.6461
10 Ta 0.0010 0.0046 0.1434
11 Ta 0.0075 0.3295 0.6926
12 Ta 0.0070 0.3303 0.9737
13 Ta 0.0077 0.3308 0.4798
14 Ta 0.4894 0.8322 0.4779
15 Ta 0.4897 0.8309 0.9791
16 Ta 0.4926 0.8302 0.1907
17 Ta 0.4982 0.5049 0.6456
18 Ta 0.4987 0.8245 0.6925
19 Ta 0.5017 0.1575 0.3059
20 Ta 0.5028 0.4970 0.1441
21 Ta 0.5055 0.4957 0.8578
22 Ta 0.5106 0.1666 0.0268
23 Ta 0.5152 0.5021 0.3522
24 Ta 0.9829 0.0037 0.8535
25 Ta 0.9935 0.6590 0.5286
26 Ta 0.9981 0.6574 0.8061
27 Zn 0.0271 0.6603 0.0215
28 Zn 0.4702 0.1604 0.5217
29 Zn 0.5389 0.1583 0.8192
30 Zn 0.9770 0.6539 0.3137
31 Si 0.1433 0.1410 0.2500
32 Si 0.1434 0.5231 0.9179
33 Si 0.1481 0.4701 0.5853
34 Si 0.1497 0.1870 0.5847
35 Si 0.2117 0.8326 0.5844
36 Si 0.2840 0.3317 0.0830
37 Si 0.3491 0.6867 0.0840
38 Si 0.3549 0.9735 0.0842
39 Si 0.3569 0.0216 0.4177
40 Si 0.3576 0.6392 0.7529
41 Si 0.6373 0.0201 0.9175
42 Si 0.6390 0.6904 0.5832
43 Si 0.6416 0.3063 0.9170
44 Si 0.6449 0.3550 0.2495
45 Si 0.6536 0.6440 0.2475
46 Si 0.7165 0.9925 0.2497
47 Si 0.7833 0.4930 0.7501
48 Si 0.8433 0.1434 0.7480
49 Si 0.8564 0.8553 0.7502
50 Si 0.8588 0.5198 0.4171
51 Si 0.8607 0.1908 0.0824
52 S 0.1397 0.8532 0.2501
53 S 0.1418 0.8107 0.9164
54 S 0.2149 0.1623 0.9156
55 S 0.2151 0.4990 0.2495
56 S 0.2849 0.6639 0.4163
57 S 0.2867 0.9992 0.7498
58 S 0.3570 0.3104 0.4166
59 S 0.3603 0.3536 0.7497
60 S 0.6427 0.9740 0.5843
61 S 0.7140 0.6654 0.9187
62 S 0.7151 0.3290 0.5845
63 S 0.7846 0.8291 0.0846
64 S 0.7870 0.1639 0.4185
65 S 0.8559 0.8092 0.4183
66 S 0.8580 0.4741 0.0843
67 O 0.0651 0.0910 0.5920
68 O 0.0660 0.5713 0.8603
69 O 0.0672 0.2358 0.2427
70 O 0.0678 0.0920 0.3067
71 O 0.0693 0.2325 0.5261
72 O 0.0701 0.4251 0.9250
73 O 0.0696 0.4279 0.6414
74 O 0.0713 0.7788 0.9698
75 O 0.0744 0.8957 0.1976
76 O 0.0781 0.7670 0.2578
77 O 0.0786 0.5671 0.5721
78 O 0.0876 0.9024 0.9066
79 O 0.1003 0.2499 0.6395
80 O 0.1047 0.9178 0.5905
81 O 0.1078 0.2380 0.9250
82 O 0.1117 0.7473 0.5679
83 O 0.1133 0.0817 0.9107
84 O 0.1125 0.9093 0.3033
85 O 0.1136 0.4110 0.5265
86 O 0.1142 0.7563 0.8646
87 O 0.1148 0.0795 0.1929
88 O 0.1191 0.4206 0.2418
89 O 0.1266 0.5783 0.2538
90 O 0.1321 0.5787 0.9756
91 O 0.1690 0.6821 0.0853
92 O 0.1696 0.9767 0.0920
93 O 0.1741 0.0015 0.4044
94 O 0.1758 0.3228 0.1413
95 O 0.1771 0.3487 0.0264
96 O 0.1771 0.6530 0.7609
97 O 0.1868 0.0069 0.6959
98 O 0.1866 0.3168 0.4237
99 O 0.1905 0.3516 0.7430
100 O 0.1916 0.6516 0.4694
101 O 0.1918 0.9824 0.8023
102 O 0.2017 0.6812 0.3637
103 O 0.2970 0.1774 0.8626
104 O 0.3037 0.1479 0.9692
105 O 0.3083 0.8506 0.2442
106 O 0.3100 0.4840 0.3029
107 O 0.3127 0.8169 0.9231
108 O 0.3140 0.5080 0.1966
109 O 0.3222 0.8207 0.6404
110 O 0.3217 0.8476 0.5263
111 O 0.3227 0.1524 0.2611
112 O 0.3244 0.5072 0.9035
113 O 0.3298 0.1816 0.5851
114 O 0.3317 0.4778 0.5905
115 O 0.3677 0.0766 0.4756
116 O 0.3749 0.0776 0.7532
117 O 0.3816 0.9199 0.7403
118 O 0.3833 0.2448 0.0726
119 O 0.3836 0.5839 0.4117
120 O 0.3846 0.2561 0.3648
121 O 0.3852 0.5807 0.6929
122 O 0.3860 0.4082 0.8027
123 O 0.3859 0.9098 0.0271
124 O 0.3919 0.7400 0.4270
125 O 0.3939 0.4170 0.0923
126 O 0.3990 0.7492 0.1396
127 O 0.4116 0.4024 0.4068
128 O 0.4192 0.2671 0.7534
129 O 0.4203 0.0686 0.0706
130 O 0.4238 0.3987 0.6967
131 O 0.4286 0.2784 0.4697
132 O 0.4296 0.9276 0.1411
133 O 0.4309 0.0701 0.3602
134 O 0.4310 0.7315 0.0261
135 O 0.4315 0.7351 0.7421
136 O 0.4336 0.5911 0.0927
137 O 0.4351 0.5918 0.8073
138 O 0.4351 0.9240 0.4258
139 O 0.5621 0.0485 0.8582
140 O 0.5622 0.2614 0.9749
141 O 0.5637 0.3993 0.1936
142 O 0.5640 0.7360 0.2389
143 O 0.5676 0.5916 0.5900
144 O 0.5678 0.7363 0.5259
145 O 0.5700 0.4073 0.9120
146 O 0.5730 0.5967 0.3068
147 O 0.5747 0.2609 0.2675
148 O 0.5786 0.9314 0.6366
149 O 0.5824 0.9198 0.9341
150 O 0.5834 0.0616 0.5789
151 O 0.6051 0.5777 0.1943
152 O 0.6074 0.7477 0.6415
153 O 0.6076 0.9110 0.2393
154 O 0.6093 0.4173 0.3075
155 O 0.6112 0.0823 0.9747
156 O 0.6113 0.5868 0.9101
157 O 0.6133 0.7427 0.9247
158 O 0.6151 0.9195 0.5308
159 O 0.6183 0.4094 0.5900
160 O 0.6186 0.0817 0.2606
161 O 0.6223 0.2516 0.5769
162 O 0.6228 0.2576 0.8569
163 O 0.6655 0.1499 0.7468
164 O 0.6679 0.5100 0.4114
165 O 0.6740 0.5082 0.6929
166 O 0.6753 0.8503 0.7385
167 O 0.6780 0.4803 0.8072
168 O 0.6798 0.1781 0.0775
169 O 0.6864 0.4785 0.0903
170 O 0.6900 0.8205 0.1379
171 O 0.6900 0.8457 0.0317
172 O 0.6912 0.8221 0.4297
173 O 0.6955 0.1766 0.3650
174 O 0.6998 0.1477 0.4708
175 O 0.8024 0.6501 0.9711
176 O 0.8053 0.6782 0.8651
177 O 0.8094 0.3202 0.6374
178 O 0.8114 0.3451 0.5312
179 O 0.8133 0.9774 0.5891
180 O 0.8202 0.3218 0.9340
181 O 0.8210 0.6798 0.5746
182 O 0.8219 0.9798 0.3080
183 O 0.8254 0.3505 0.2392
184 O 0.8280 0.0075 0.1939
185 O 0.8299 0.0097 0.9111
186 O 0.8319 0.6553 0.2497
187 O 0.8766 0.7607 0.3648
188 O 0.8780 0.7521 0.0781
189 O 0.8821 0.9095 0.0911
190 O 0.8829 0.4214 0.0315
191 O 0.8827 0.5820 0.7594
192 O 0.8890 0.2406 0.4242
193 O 0.8890 0.5834 0.4744
194 O 0.8905 0.0843 0.4091
195 O 0.8915 0.4115 0.7382
196 O 0.8923 0.9178 0.8072
197 O 0.8925 0.2470 0.1420
198 O 0.8982 0.0783 0.6943
199 O 0.9162 0.5627 0.0808
200 O 0.9172 0.4208 0.4336
201 O 0.9202 0.4316 0.1375
202 O 0.9243 0.8999 0.4130
203 O 0.9255 0.7611 0.7667
204 O 0.9259 0.0971 0.8066
205 O 0.9281 0.7694 0.4704
206 O 0.9331 0.0914 0.0904
207 O 0.9339 0.2353 0.7389
208 O 0.9364 0.5548 0.3601
209 O 0.9357 0.8992 0.6931
210 O 0.9385 0.2348 0.0269

Calculated values
Its crystal system is triclinic. For the energy relative to the elements, the calculation gives -56027 kJ/mol of formula units. The space-group type is P1. As for the MP2020-corrected energy: -8.19 eV per atom.


2.
Density functional theory data (PBE-GGA) for a geometry-optimized CaCl2 structure.

Unit cell a=4.7691 b=4.7691 c=4.7691 alpha=60.00 beta=60.00 gamma=60.00
Atoms (fractional coordinates):
1 Ca 0.0000 0.0000 0.0000
2 Cl 0.2500 0.2500 0.2500
3 Cl 0.7500 0.7500 0.7500

Calculated values
Its crystal system is cubic. For the energy relative to the elements, the calculation gives -796 kJ/mol of formula units. The space-group type is Fm-3m. As for the MP2020-corrected energy: -4.65 eV per atom.


3.
Density functional theory data (PBE-GGA) for a geometry-optimized Nd4Rh structure.

Unit cell a=7.8833 b=7.8833 c=7.8833 alpha=60.00 beta=60.00 gamma=60.00
Atoms (fractional coordinates):
1 Nd 0.2112 0.7629 0.7629
2 Nd 0.2371 0.2371 0.2371
3 Nd 0.2371 0.2371 0.7888
4 Nd 0.2371 0.7888 0.2371
5 Nd 0.7629 0.2112 0.7629
6 Nd 0.7629 0.7629 0.2112
7 Nd 0.7629 0.7629 0.7629
8 Nd 0.7888 0.2371 0.2371
9 Rh 0.3750 0.3750 0.3750
10 Rh 0.6250 0.6250 0.6250

Calculated values
Its crystal system is cubic. For the energy relative to the elements, the calculation gives 43 kJ/mol of formula units. As for the offset from the most stable computed form: 0.400 eV/atom. The space-group type is Fd-3m.


4.
Density functional theory data (PBE-GGA) for a geometry-optimized Te2WCl6 structure.

Unit cell a=6.6997 b=7.8318 c=11.5473 alpha=77.77 beta=76.08 gamma=88.47
Atoms (fractional coordinates):
1 Te 0.1169 0.0955 0.3281
2 Te 0.2362 0.8520 0.5057
3 Te 0.7638 0.1480 0.4943
4 Te 0.8831 0.9045 0.6719
5 W 0.2913 0.3291 0.8043
6 W 0.7087 0.6709 0.1957
7 Cl 0.0322 0.7966 0.1120
8 Cl 0.1652 0.6086 0.8184
9 Cl 0.2302 0.3696 0.6088
10 Cl 0.3593 0.2887 0.9950
11 Cl 0.3788 0.5523 0.2830
12 Cl 0.4203 0.0484 0.7825
13 Cl 0.5797 0.9516 0.2175
14 Cl 0.6212 0.4477 0.7170
15 Cl 0.6407 0.7113 0.0050
16 Cl 0.7698 0.6304 0.3912
17 Cl 0.8348 0.3914 0.1816
18 Cl 0.9678 0.2034 0.8880

Calculated values
Its crystal system is triclinic. For the energy relative to the elements, the calculation gives -911 kJ/mol of formula units. As for the offset from the most stable computed form: 0.003 eV/atom. The space-group type is P-1. As for the MP2020-corrected energy: -4.42 eV per atom.


5.
Density functional theory data (PBE-GGA) for a geometry-optimized La2Ti2O7 structure.

Unit cell a=26.2373 b=7.7974 c=5.6044 alpha=90.00 beta=90.00 gamma=90.00
Atoms (fractional coordinates):
1 La 0.0387 0.1280 0.3937
2 La 0.0570 0.6213 0.4462
3 La 0.1915 0.6243 0.0000
4 La 0.2031 0.1258 0.9929
5 La 0.2969 0.6258 0.4929
6 La 0.3085 0.1243 0.5000
7 La 0.4430 0.1213 0.9462
8 La 0.4613 0.6280 0.8937
9 La 0.5387 0.3720 0.3937
10 La 0.5570 0.8787 0.4462
11 La 0.6915 0.8757 0.0000
12 La 0.7031 0.3742 0.9929
13 La 0.7969 0.8742 0.4929
14 La 0.8085 0.3757 0.5000
15 La 0.9430 0.3787 0.9462
16 La 0.9613 0.8720 0.8937
17 Ti 0.0873 0.3741 0.9470
18 Ti 0.0893 0.8818 0.9537
19 Ti 0.1891 0.3779 0.4880
20 Ti 0.1898 0.8728 0.4858
21 Ti 0.3102 0.3728 0.9858
22 Ti 0.3109 0.8779 0.9880
23 Ti 0.4107 0.3818 0.4537
24 Ti 0.4127 0.8741 0.4470
25 Ti 0.5873 0.1259 0.9470
26 Ti 0.5893 0.6182 0.9537
27 Ti 0.6891 0.1221 0.4880
28 Ti 0.6898 0.6272 0.4858
29 Ti 0.8102 0.1272 0.9858
30 Ti 0.8109 0.6221 0.9880
31 Ti 0.9107 0.1182 0.4537
32 Ti 0.9127 0.6259 0.4470
33 O 0.0305 0.3904 0.1601
34 O 0.0353 0.8578 0.1727
35 O 0.0470 0.8938 0.6915
36 O 0.0538 0.3540 0.6711
37 O 0.0963 0.6241 0.9137
38 O 0.0973 0.1249 0.0401
39 O 0.1352 0.4287 0.2974
40 O 0.1362 0.8221 0.2932
41 O 0.1580 0.8941 0.8033
42 O 0.1585 0.3563 0.8064
43 O 0.1954 0.1251 0.4475
44 O 0.2040 0.6252 0.5730
45 O 0.2395 0.4085 0.2345
46 O 0.2398 0.8415 0.2346
47 O 0.2602 0.3415 0.7346
48 O 0.2605 0.9085 0.7345
49 O 0.2960 0.1252 0.0730
50 O 0.3046 0.6251 0.9475
51 O 0.3415 0.8563 0.3064
52 O 0.3420 0.3941 0.3033
53 O 0.3638 0.3221 0.7932
54 O 0.3648 0.9287 0.7974
55 O 0.4027 0.6249 0.5401
56 O 0.4037 0.1241 0.4137
57 O 0.4462 0.8540 0.1711
58 O 0.4530 0.3938 0.1915
59 O 0.4647 0.3578 0.6727
60 O 0.4695 0.8904 0.6601
61 O 0.5305 0.1096 0.1601
62 O 0.5353 0.6422 0.1727
63 O 0.5470 0.6062 0.6915
64 O 0.5538 0.1460 0.6711
65 O 0.5963 0.8759 0.9137
66 O 0.5973 0.3751 0.0401
67 O 0.6352 0.0713 0.2974
68 O 0.6362 0.6779 0.2932
69 O 0.6580 0.6059 0.8033
70 O 0.6585 0.1437 0.8064
71 O 0.6954 0.3749 0.4475
72 O 0.7040 0.8748 0.5730
73 O 0.7395 0.0915 0.2345
74 O 0.7398 0.6585 0.2346
75 O 0.7602 0.1585 0.7346
76 O 0.7605 0.5915 0.7345
77 O 0.7960 0.3748 0.0730
78 O 0.8046 0.8749 0.9475
79 O 0.8415 0.6437 0.3064
80 O 0.8420 0.1059 0.3033
81 O 0.8638 0.1779 0.7932
82 O 0.8648 0.5713 0.7974
83 O 0.9027 0.8751 0.5401
84 O 0.9037 0.3759 0.4137
85 O 0.9462 0.6460 0.1711
86 O 0.9530 0.1062 0.1915
87 O 0.9647 0.1422 0.6727
88 O 0.9695 0.6096 0.6601

Calculated values
Its crystal system is orthorhombic. For the energy relative to the elements, the calculation gives -4016 kJ/mol of formula units. The space-group type is Pna2_1. As for the MP2020-corrected energy: -9.27 eV per atom.


6.
Density functional theory data (PBE-GGA) for a geometry-optimized Cs2KSmCl6 structure.

Unit cell a=8.1088 b=8.1088 c=8.1088 alpha=60.00 beta=60.00 gamma=60.00
Atoms (fractional coordinates):
1 Cs 0.2500 0.2500 0.2500
2 Cs 0.7500 0.7500 0.7500
3 K 0.0000 0.0000 0.0000
4 Sm 0.5000 0.5000 0.5000
5 Cl 0.2645 0.2645 0.7355
6 Cl 0.2645 0.7355 0.2645
7 Cl 0.2645 0.7355 0.7355
8 Cl 0.7355 0.2645 0.2645
9 Cl 0.7355 0.2645 0.7355
10 Cl 0.7355 0.7355 0.2645

Calculated values
Its crystal system is cubic. For the energy relative to the elements, the calculation gives -2418 kJ/mol of formula units. The space-group type is Fm-3m. As for the MP2020-corrected energy: -4.38 eV per atom.


Q: What is the formula in the fifth record?
A: La2Ti2O7


Q: Among the records above, which one has the lowest energy relative to the elements?
A: Na6Ta20Zn4Si21S15O144


Q: Which value of energy relative to the elements does entry 1 give?
A: -56027 kJ/mol of formula units